This record from Materials Project describes an optimized crystal structure of SrEuS2. The functional is r²SCAN.

Lattice parameters (Å, degrees): 7.325 7.325 7.325 33.52 33.52 33.52
Positions (direct):
Sr 0.000 0.000 0.000
Eu 0.500 0.500 0.500
S 0.248 0.248 0.248
S 0.752 0.752 0.752

Output
Crystal system   trigonal
Symmetry   No. 166
VASP energy   -19.858 eV per atom